DFT (PBE) results for SrCaZr4O12 after structural relaxation.

Cell lengths 8.3743, 8.3895, 8.0218 Å; angles 90.00, 90.00, 90.00 degrees
Space group Amm2 (No. 38)
Symmetry-distinct sites (fractional):
Sr1 0.0000 0.0000 0.0000
Ca1 0.5000 0.0000 0.5971
Zr1 0.2608 0.2304 0.3051
O1 0.0000 0.2255 0.3012
O2 0.2183 0.2044 0.0544
O3 0.2416 0.0000 0.7741
O4 0.3100 0.0000 0.3716
O5 0.5000 0.2138 0.7759

## Properties
* E_form: -3.10 eV per atom
* density: 4.034 g/cm3
* total moment: 4.00 μB/f.u.